Record 1
DFT (PBE-GGA) results for crystalline As4Pb9S15 at its relaxed geometry.

```
As4Pb9S15
1.0
-10.1621 3.2780 -1.4619
0.9059 -9.9665 3.9997
6.3585 7.2795 4.7675
S As Pb
15 4 9
direct
0.1290 0.1290 0.3224
0.5862 0.3948 0.0397
0.8878 0.6314 0.6314
0.9217 0.4752 0.9217
0.0397 0.3948 0.5862
0.1290 0.3224 0.1290
0.6314 0.8878 0.6314
0.5862 0.0397 0.3948
0.6314 0.6314 0.8878
0.3948 0.0397 0.5862
0.3224 0.1290 0.1290
0.9217 0.9217 0.4752
0.3948 0.5862 0.0397
0.4752 0.9217 0.9217
0.0397 0.5862 0.3948
0.4075 0.4075 0.8425
0.8425 0.4075 0.4075
0.4075 0.8425 0.4075
0.0559 0.0559 0.0559
0.7744 0.2433 0.9786
0.5982 0.5982 0.3344
0.2433 0.7744 0.9786
0.7744 0.9786 0.2433
0.3344 0.5982 0.5982
0.9786 0.7744 0.2433
0.2433 0.9786 0.7744
0.5982 0.3344 0.5982
0.9786 0.2433 0.7744
```

Summary:
Formation energy in eV/atom: -0.66
Theoretical density in g/cm3: 5.9
V in Å³ per cell: 745.7
SG: R3m, No. 160
Uncorrected energy in eV per atom: -4.462
Total magnetic moment in μB per cell: 0.0

***

Record 2
DFT (PBE-GGA) results for crystalline As2Pb2S5 at its relaxed geometry.

```
As2Pb2S5
1.0
-14.5827 -3.8482 21.4666
-0.5814 -7.9906 -1.8274
7.0229 -1.5459 4.4937
S As Pb
40 16 16
direct
0.6919 0.2382 0.0899
0.4036 0.7416 0.5865
0.4197 0.1047 0.3785
0.5279 0.7377 0.8822
0.0729 0.7814 0.1369
0.5683 0.2413 0.3746
0.6925 0.2291 0.6750
0.6090 0.8960 0.1783
0.1111 0.0908 0.3995
0.9036 0.2584 0.4135
0.3082 0.4278 0.8461
0.9865 0.6045 0.9226
0.4829 0.4066 0.6583
0.9151 0.9278 0.0991
0.4005 0.7406 0.1619
0.9005 0.2594 0.8381
0.6825 0.5870 0.3750
0.4865 0.3955 0.0774
0.1925 0.7709 0.3250
0.1919 0.7618 0.9101
0.9829 0.5934 0.3417
0.5729 0.2186 0.8631
0.4151 0.0722 0.9009
0.9197 0.8953 0.6215
0.1090 0.1040 0.8217
0.8123 0.5733 0.5786
0.7956 0.9476 0.3657
0.2956 0.0524 0.6343
0.3123 0.4267 0.4214
0.1824 0.4017 0.1265
0.0683 0.7587 0.6254
0.5211 0.7155 0.3970
0.0211 0.2845 0.6030
0.0279 0.2623 0.1178
0.6111 0.9092 0.6005
0.8082 0.5722 0.1539
0.1825 0.4130 0.6250
0.6824 0.5983 0.8735
0.8025 0.9616 0.8821
0.3025 0.0384 0.1179
0.1407 0.9432 0.1750
0.1346 0.9405 0.6304
0.8544 0.1133 0.0400
0.7310 0.3685 0.8879
0.3458 0.2797 0.6362
0.9520 0.4411 0.5579
0.6346 0.0595 0.3696
0.2310 0.6315 0.1121
0.8648 0.1078 0.6265
0.3544 0.8867 0.9600
0.6407 0.0568 0.8250
0.3648 0.8922 0.3735
0.4603 0.5612 0.8859
0.4520 0.5589 0.4421
0.8458 0.7203 0.3638
0.9603 0.4388 0.1141
0.2250 0.1972 0.8738
0.9977 0.0394 0.8652
0.8758 0.6928 0.8609
0.4977 0.9606 0.1348
0.7250 0.8028 0.1262
0.9963 0.0356 0.3603
0.7292 0.7850 0.6002
0.0943 0.5313 0.3779
0.7559 0.3543 0.3499
0.0988 0.5382 0.8709
0.5943 0.4687 0.6221
0.4963 0.9644 0.6397
0.3758 0.3072 0.1391
0.2559 0.6457 0.6501
0.5988 0.4618 0.1291
0.2292 0.2150 0.3998
```

Summary:
Formation energy in eV/atom: -0.58
Theoretical density in g/cm3: 5.3
V in Å³ per cell: 1828.1
SG: P2_1, No. 4
Uncorrected energy in eV per atom: -4.462
Total magnetic moment in μB per cell: 0.0

***

Record 3
DFT (PBE-GGA) results for crystalline Tl8Sb21As19Pb4S68 at its relaxed geometry.

```
Tl8Sb21As19Pb4S68
1.0
8.5997 0.0000 0.0000
0.1957 17.0420 0.0000
2.0754 1.9021 21.5367
As Tl S Sb Pb
19 8 68 21 4
direct
0.1611 0.0148 0.3709
0.7402 0.8284 0.1372
0.2587 0.0174 0.0376
0.5214 0.6737 0.0770
0.6328 0.1578 0.4937
0.3496 0.3553 0.5107
0.7328 0.9971 0.9612
0.8208 0.4969 0.6318
0.2614 0.1869 0.8724
0.5150 0.1662 0.0691
0.0607 0.8506 0.9373
0.6518 0.5143 0.3741
0.3293 0.9993 0.6315
0.1326 0.6583 0.4951
0.8501 0.8566 0.5105
0.2587 0.5232 0.0462
0.0645 0.3491 0.9433
0.7183 0.3276 0.1331
0.4726 0.3463 0.9336
0.4083 0.7292 0.3231
0.5736 0.7853 0.6833
0.9154 0.7363 0.3175
0.0663 0.7766 0.6882
0.4289 0.2358 0.3155
0.9046 0.2299 0.3180
0.5560 0.2746 0.6881
0.0769 0.2817 0.6879
0.6399 0.9201 0.5589
0.6907 0.4143 0.8851
0.7903 0.9318 0.7168
0.9509 0.5758 0.9345
0.2583 0.6340 0.7630
0.1979 0.7579 0.9907
0.4790 0.2700 0.8484
0.1118 0.0778 0.6505
0.5314 0.0813 0.6561
0.4394 0.9251 0.0639
0.5178 0.7497 0.1638
0.3426 0.5952 0.4460
0.0255 0.5774 0.6562
0.2818 0.1449 0.7768
0.9478 0.0724 0.9237
0.2919 0.4277 0.7177
0.9338 0.7387 0.1592
0.6918 0.0768 0.1001
0.6720 0.5963 0.2869
0.0682 0.2800 0.8536
0.8416 0.0950 0.4448
0.5011 0.2436 0.1557
0.4504 0.4324 0.3497
0.6858 0.0873 0.2857
0.7130 0.9221 0.8772
0.1921 0.5824 0.2886
0.4441 0.1084 0.4386
0.7733 0.7627 0.0126
0.8288 0.7359 0.5682
0.7995 0.6291 0.7814
0.6552 0.2784 0.4356
0.1534 0.7789 0.4372
0.3768 0.7339 0.5731
0.0402 0.4516 0.0862
0.7751 0.2559 0.9998
0.2840 0.0984 0.1189
0.3730 0.9343 0.3556
0.1895 0.8800 0.2269
0.6113 0.5787 0.6481
0.3056 0.9164 0.7177
0.2067 0.3835 0.2373
0.4351 0.4271 0.0722
0.3255 0.2359 0.5704
0.6916 0.3724 0.2283
0.9171 0.2398 0.1549
0.0503 0.7817 0.8476
0.4823 0.7628 0.8391
0.5361 0.4055 0.5666
0.8700 0.4362 0.3557
0.7962 0.4193 0.7221
0.1946 0.2622 0.0032
0.8750 0.2341 0.5739
0.9543 0.9347 0.3474
0.5376 0.5926 0.9450
0.9487 0.6076 0.4383
0.1407 0.4204 0.5576
0.0409 0.9448 0.0777
0.1058 0.2794 0.4325
0.5490 0.0899 0.9356
0.2805 0.4332 0.9078
0.7243 0.8765 0.2364
0.6060 0.7811 0.4321
0.1845 0.0912 0.2799
0.7768 0.1303 0.7692
0.2715 0.9347 0.9014
0.2885 0.6033 0.1268
0.6970 0.5792 0.1043
0.0329 0.9067 0.5680
0.7627 0.1832 0.8846
0.5768 0.0230 0.7652
0.7243 0.4914 0.9813
0.8696 0.3427 0.4854
0.4122 0.4922 0.2407
0.9573 0.9794 0.2345
0.9391 0.1635 0.0569
0.8285 0.0049 0.6106
0.3315 0.5004 0.6140
0.1118 0.1709 0.5211
0.7631 0.6799 0.8871
0.1530 0.5099 0.3950
0.4795 0.8420 0.9340
0.6128 0.6702 0.5207
0.9404 0.6631 0.0584
0.6488 0.0145 0.3891
0.0438 0.5274 0.7666
0.3701 0.8448 0.4845
0.2157 0.8338 0.1199
0.2171 0.3361 0.1250
0.2477 0.6765 0.8731
0.0544 0.0211 0.7777
0.4547 0.0031 0.2248
0.5475 0.5133 0.7780
0.9274 0.4930 0.2291
```

Summary:
Formation energy in eV/atom: -0.53
Theoretical density in g/cm3: 4.5
V in Å³ per cell: 3156.3
SG: P1, No. 1
Uncorrected energy in eV per atom: -4.333
Total magnetic moment in μB per cell: 0.2

***

Record 4
DFT (PBE-GGA) results for crystalline TlAs3PbS6 at its relaxed geometry.

```
TlAs3PbS6
1.0
0.0000 7.8467 24.1784
3.0106 0.0000 24.1784
3.0106 7.8467 0.0000
S Tl Pb As
24 4 4 12
direct
0.4000 0.8582 0.5413
0.7380 0.2532 0.4730
0.4885 0.9169 0.4249
0.7770 0.7142 0.5120
0.3918 0.8500 0.0495
0.8642 0.4740 0.9185
0.7087 0.0495 0.8500
0.9968 0.5120 0.7142
0.7760 0.3858 0.5067
0.7433 0.9185 0.4740
0.8251 0.0803 0.7615
0.4655 0.9534 0.0306
0.2966 0.7845 0.6995
0.3331 0.7615 0.0803
0.2427 0.4209 0.4876
0.1697 0.4249 0.9169
0.7624 0.4012 0.0073
0.5505 0.0306 0.9534
0.2194 0.6995 0.7845
0.5358 0.4730 0.2532
0.2005 0.5413 0.8582
0.3315 0.5067 0.3858
0.8488 0.4876 0.4209
0.8291 0.0073 0.4012
0.8856 0.1762 0.7062
0.0738 0.3644 0.0180
0.5438 0.0180 0.3644
0.2320 0.7062 0.1762
0.5976 0.1578 0.3538
0.0922 0.6524 0.3592
0.8962 0.3592 0.6524
0.8908 0.3538 0.1578
0.3733 0.7927 0.2326
0.6013 0.2326 0.7927
0.6759 0.3918 0.3469
0.4573 0.8767 0.6487
0.3733 0.7791 0.8210
0.0267 0.8210 0.7791
0.4709 0.8767 0.2233
0.4290 0.2233 0.8767
0.9031 0.6647 0.5741
0.8582 0.5741 0.6647
0.0174 0.6487 0.8767
0.5853 0.3469 0.3918
```

Summary:
Formation energy in eV/atom: -0.52
Theoretical density in g/cm3: 4.8
V in Å³ per cell: 1142.3
SG: Fdd2, No. 43
Uncorrected energy in eV per atom: -4.329
Total magnetic moment in μB per cell: 0.0

***

Record 5
DFT (PBE-GGA) results for crystalline TlAs5PbS9 at its relaxed geometry.

```
TlAs5PbS9
1.0
8.3096 0.0000 0.0000
0.0000 11.1335 0.0000
0.0000 0.0000 36.0889
As S Pb Tl
40 72 8 8
direct
0.1356 0.9404 0.8847
0.0432 0.1182 0.0292
0.2940 0.3916 0.1949
0.7837 0.3640 0.0483
0.9568 0.8818 0.9708
0.7060 0.8916 0.3051
0.1356 0.5596 0.3847
0.1257 0.9018 0.3151
0.2837 0.3640 0.4517
0.4568 0.8818 0.5292
0.7163 0.8640 0.0483
0.6257 0.9018 0.1849
0.8743 0.4018 0.1849
0.8644 0.4404 0.6153
0.3743 0.0982 0.8151
0.6257 0.5982 0.6849
0.5432 0.3818 0.9708
0.1257 0.5982 0.8151
0.7163 0.6360 0.5483
0.6356 0.5596 0.1153
0.2837 0.1360 0.9517
0.8743 0.0982 0.6849
0.3644 0.0596 0.3847
0.7940 0.1084 0.8051
0.3743 0.4018 0.3151
0.6356 0.9404 0.6153
0.3644 0.4404 0.8847
0.7837 0.1360 0.5483
0.0432 0.3818 0.5292
0.9568 0.6182 0.4708
0.5432 0.1182 0.4708
0.7940 0.3916 0.3051
0.2163 0.8640 0.4517
0.2060 0.6084 0.6949
0.8644 0.0596 0.1153
0.7060 0.6084 0.8051
0.2163 0.6360 0.9517
0.2060 0.8916 0.1949
0.4568 0.6182 0.0292
0.2940 0.1084 0.6949
0.1775 0.1284 0.8628
0.3649 0.6021 0.3104
0.6032 0.1146 0.8528
0.6283 0.1150 0.7545
0.9554 0.6949 0.9434
0.6891 0.6130 0.4850
0.1351 0.1021 0.3104
0.8968 0.8854 0.3528
0.1891 0.6130 0.0150
0.0834 0.5046 0.5798
0.9554 0.8051 0.4434
0.8225 0.6284 0.6372
0.6394 0.0878 0.3088
0.6756 0.4389 0.5671
0.1351 0.3979 0.8104
0.1394 0.0878 0.1912
0.8244 0.9389 0.5671
0.0834 0.9954 0.0798
0.5446 0.1949 0.9434
0.5834 0.9954 0.4202
0.9166 0.0046 0.9202
0.3225 0.6284 0.8628
0.8717 0.8850 0.2545
0.8109 0.3870 0.9850
0.3244 0.9389 0.9329
0.8606 0.9122 0.8088
0.3225 0.8716 0.3628
0.1756 0.0611 0.4329
0.8717 0.6150 0.7545
0.8649 0.8979 0.6896
0.0446 0.1949 0.5566
0.6756 0.0611 0.0671
0.3244 0.5611 0.4329
0.3968 0.8854 0.1472
0.4166 0.0046 0.5798
0.8109 0.1130 0.4850
0.8606 0.5878 0.3088
0.3968 0.6146 0.6472
0.1775 0.3716 0.3628
0.3109 0.1130 0.0150
0.6351 0.3979 0.6896
0.6351 0.1021 0.1896
0.6283 0.3850 0.2545
0.3717 0.6150 0.7455
0.3717 0.8850 0.2455
0.1032 0.1146 0.6472
0.4554 0.6949 0.5566
0.6775 0.1284 0.6372
0.3606 0.9122 0.6912
0.1891 0.8870 0.5150
0.1032 0.3854 0.1472
0.4166 0.4954 0.0798
0.4554 0.8051 0.0566
0.9166 0.4954 0.4202
0.6394 0.4122 0.8088
0.6032 0.3854 0.3528
0.8968 0.6146 0.8528
0.1283 0.1150 0.7455
0.5834 0.5046 0.9202
0.3606 0.5878 0.1912
0.1283 0.3850 0.2455
0.1394 0.4122 0.6912
0.5446 0.3051 0.4434
0.8244 0.5611 0.0671
0.8225 0.8716 0.1372
0.3109 0.3870 0.5150
0.0446 0.3051 0.0566
0.3649 0.8979 0.8104
0.6891 0.8870 0.9850
0.8649 0.6021 0.1896
0.6775 0.3716 0.1372
0.1756 0.4389 0.9329
0.8946 0.1358 0.2470
0.6054 0.6358 0.2470
0.6054 0.8642 0.7470
0.8946 0.3642 0.7470
0.3946 0.3642 0.7530
0.1054 0.6358 0.2530
0.1054 0.8642 0.7530
0.3946 0.1358 0.2530
0.8650 0.1585 0.3773
0.3650 0.3415 0.6227
0.1350 0.8415 0.6227
0.3650 0.1585 0.1227
0.8650 0.3415 0.8773
0.6350 0.6585 0.3773
0.6350 0.8415 0.8773
0.1350 0.6585 0.1227
```

Summary:
Formation energy in eV/atom: -0.50
Theoretical density in g/cm3: 4.3
V in Å³ per cell: 3338.8
SG: Pbca, No. 61
Uncorrected energy in eV per atom: -4.379
Total magnetic moment in μB per cell: 0.0